1.
## Sm2Tl (PBE)

Data for Sm2Tl after structural relaxation.

Lattice parameters (Å, degrees): 5.525 5.525 6.883 90.00 90.00 120.00
Positions (direct):
Sm1 0.000 0.000 0.500
Sm2 0.000 0.000 0.000
Sm3 0.333 0.667 0.750
Sm4 0.667 0.333 0.250
Tl1 0.333 0.667 0.250
Tl2 0.667 0.333 0.750

2.
## SmTl (PBE)

Data for SmTl after structural relaxation.

Lattice parameters (Å, degrees): 3.653 3.653 4.319 90.00 90.00 90.00
Positions (direct):
Tl1 0.500 0.500 0.500
Sm1 0.000 0.000 0.000

3.
## Sm5Tl3 (PBE)

Data for Sm5Tl3 after structural relaxation.

Lattice parameters (Å, degrees): 6.298 9.356 9.356 83.49 70.33 70.33
Positions (direct):
Sm1 0.085 0.134 0.697
Sm2 0.415 0.303 0.866
Sm3 0.282 0.134 0.303
Sm4 0.750 0.500 0.500
Sm5 0.250 0.500 0.500
Sm6 0.218 0.697 0.866
Sm7 0.718 0.866 0.697
Sm8 0.585 0.697 0.134
Sm9 0.782 0.303 0.134
Sm10 0.915 0.866 0.303
Tl1 0.750 0.000 0.000
Tl2 0.661 0.179 0.500
Tl3 0.161 0.500 0.179
Tl4 0.339 0.821 0.500
Tl5 0.839 0.500 0.821
Tl6 0.250 0.000 0.000

| no. | energy relative to the elements (eV/atom) |
| --- | --- |
| 1 | -0.27 |
| 2 | -0.38 |
| 3 | -0.32 |